# CeCrSe2O PBE with a Hubbard U optimized geometry
data_CeCrSe2O
_cell_length_a 11.542
_cell_length_b 3.926
_cell_length_c 8.395
_cell_angle_alpha 90.00
_cell_angle_beta 90.49
_cell_angle_gamma 90.00
_space_group_name_H-M_alt 'C 1 2/m 1'
_space_group_IT_number 12
_space_group_name_Hall '-C 2y'
loop_
_atom_site_label
_atom_site_fract_x
_atom_site_fract_y
_atom_site_fract_z
_atom_site_occupancy
Ce1 0.228 0.000 0.308 1
Cr1 0.000 0.000 0.000 1
Cr2 0.000 0.500 0.500 1
Se1 0.052 0.000 0.703 1
Se2 0.145 0.500 0.036 1
O1 0.172 0.500 0.437 1
# Formation enthalpy at 0 K   -1.882 eV/atom


# SrCeCrSnO6 PBE with a Hubbard U optimized geometry
data_SrCeCrSnO6
_cell_length_a 8.027
_cell_length_b 8.027
_cell_length_c 8.027
_cell_angle_alpha 90.00
_cell_angle_beta 90.00
_cell_angle_gamma 90.00
_space_group_name_H-M_alt 'F -4 3 m'
_space_group_IT_number 216
_space_group_name_Hall 'F -4 2 3'
loop_
_atom_site_label
_atom_site_fract_x
_atom_site_fract_y
_atom_site_fract_z
_atom_site_occupancy
Sr1 0.000 0.000 0.000 1
Ce1 0.000 0.000 0.500 1
Cr1 0.250 0.250 0.250 1
Sn1 0.250 0.250 0.750 1
O1 0.003 0.250 0.250 1
# Formation enthalpy at 0 K   -2.728 eV/atom


| no. | size of the total moment (μB per formula unit) | E (MP2020) (eV per atom) |
| --- | --- | --- |
| 1 | 4.0 | -7.3873 |
| 2 | 4.0 | -7.8257 |